Record 1
A relaxed LaCo8Si5 crystal. Source: Materials Project, functional PBE.

Summary:
Space-group type = I4/mcm (140)

```
data_LaCo8Si5
_chemical_formula_sum 'La2 Co16 Si10'
_space_group_name_H-M_alt 'P 1'
_space_group_IT_number 1
_cell_length_a 7.9735
_cell_length_b 7.9735
_cell_length_c 7.9735
_cell_angle_alpha 121.50
_cell_angle_beta 121.50
_cell_angle_gamma 87.42
loop_
_space_group_symop_operation_xyz
'x,y,z'
loop_
_atom_site_label
_atom_site_type_symbol
_atom_site_fract_x
_atom_site_fract_y
_atom_site_fract_z
Co1 Co 0.0573 0.7886 0.8460
Co2 Co 0.0623 0.5623 0.2666
Co3 Co 0.7114 0.4427 0.1540
Co4 Co 0.9377 0.4377 0.7334
Co5 Co 0.2114 0.0573 0.2687
Co6 Co 0.7886 0.9427 0.7313
Co7 Co 0.9427 0.2114 0.1540
Co8 Co 0.2886 0.5573 0.8460
Co9 Co 0.2043 0.9377 0.5000
Co10 Co 0.7043 0.2043 0.2666
Co11 Co 0.5573 0.7114 0.2687
Co12 Co 0.7957 0.0623 0.5000
Co13 Co 0.4427 0.2886 0.7313
Co14 Co 0.4377 0.7043 0.5000
Co15 Co 0.2957 0.7957 0.7334
Co16 Co 0.5623 0.2957 0.5000
Si1 Si 0.0000 0.5000 0.5000
Si2 Si 0.6927 0.5579 0.5000
Si3 Si 0.3073 0.4421 0.5000
Si4 Si 0.0579 0.1927 0.5000
Si5 Si 0.5579 0.0579 0.8652
Si6 Si 0.9421 0.8073 0.5000
Si7 Si 0.1927 0.6927 0.1348
Si8 Si 0.5000 0.0000 0.5000
Si9 Si 0.4421 0.9421 0.1348
Si10 Si 0.8073 0.3073 0.8652
La1 La 0.2500 0.2500 0.0000
La2 La 0.7500 0.7500 0.0000
```

---

Record 2
A relaxed La2CoSi3 crystal. Source: Materials Project, functional PBE.

Summary:
Space-group type = P-6m2 (187)

```
data_La2CoSi3
_chemical_formula_sum 'La2 Co1 Si3'
_space_group_name_H-M_alt 'P 1'
_space_group_IT_number 1
_cell_length_a 4.0701
_cell_length_b 4.0701
_cell_length_c 8.7640
_cell_angle_alpha 90.00
_cell_angle_beta 90.00
_cell_angle_gamma 120.00
loop_
_space_group_symop_operation_xyz
'x,y,z'
loop_
_atom_site_label
_atom_site_type_symbol
_atom_site_fract_x
_atom_site_fract_y
_atom_site_fract_z
La1 La 0.3333 0.6667 0.7435
La2 La 0.3333 0.6667 0.2565
Si1 Si 0.0000 0.0000 0.5000
Si2 Si 0.0000 0.0000 0.0000
Si3 Si 0.6667 0.3333 0.0000
Co1 Co 0.6667 0.3333 0.5000
```

---

Record 3
A relaxed La2CoSn4 crystal. Source: Materials Project, functional PBE.

Summary:
Space-group type = C2 (5)

```
data_La2CoSn4
_chemical_formula_sum 'La2 Co1 Sn4'
_space_group_name_H-M_alt 'P 1'
_space_group_IT_number 1
_cell_length_a 4.6105
_cell_length_b 4.6508
_cell_length_c 8.8745
_cell_angle_alpha 74.83
_cell_angle_beta 90.01
_cell_angle_gamma 90.07
loop_
_space_group_symop_operation_xyz
'x,y,z'
loop_
_atom_site_label
_atom_site_type_symbol
_atom_site_fract_x
_atom_site_fract_y
_atom_site_fract_z
Sn1 Sn 0.7499 0.4365 0.1268
Sn2 Sn 0.7501 0.7569 0.4860
Sn3 Sn 0.2500 0.5512 0.8977
Sn4 Sn 0.2500 0.2579 0.4843
Co1 Co 0.2501 0.6966 0.6070
La1 La 0.7499 0.1027 0.7946
La2 La 0.2499 0.8982 0.2037
```

---

Record 4
A relaxed La3Co4Sn13 crystal. Source: Materials Project, functional PBE.

Summary:
Space-group type = Pm-3n (223)

```
data_La3Co4Sn13
_chemical_formula_sum 'La6 Co8 Sn26'
_space_group_name_H-M_alt 'P 1'
_space_group_IT_number 1
_cell_length_a 9.6989
_cell_length_b 9.6989
_cell_length_c 9.6989
_cell_angle_alpha 90.00
_cell_angle_beta 90.00
_cell_angle_gamma 90.00
loop_
_space_group_symop_operation_xyz
'x,y,z'
loop_
_atom_site_label
_atom_site_type_symbol
_atom_site_fract_x
_atom_site_fract_y
_atom_site_fract_z
Sn1 Sn 0.3017 0.8427 0.0000
Sn2 Sn 0.5000 0.6573 0.8017
Sn3 Sn 0.6573 0.1983 0.5000
Sn4 Sn 0.5000 0.6573 0.1983
Sn5 Sn 0.0000 0.6983 0.1573
Sn6 Sn 0.6983 0.1573 0.0000
Sn7 Sn 0.0000 0.6983 0.8427
Sn8 Sn 0.5000 0.3427 0.1983
Sn9 Sn 0.1983 0.5000 0.3427
Sn10 Sn 0.5000 0.5000 0.5000
Sn11 Sn 0.6573 0.8017 0.5000
Sn12 Sn 0.0000 0.0000 0.0000
Sn13 Sn 0.3427 0.1983 0.5000
Sn14 Sn 0.8017 0.5000 0.6573
Sn15 Sn 0.0000 0.3017 0.8427
Sn16 Sn 0.1573 0.0000 0.6983
Sn17 Sn 0.0000 0.3017 0.1573
Sn18 Sn 0.1983 0.5000 0.6573
Sn19 Sn 0.3427 0.8017 0.5000
Sn20 Sn 0.8427 0.0000 0.3017
Sn21 Sn 0.3017 0.1573 0.0000
Sn22 Sn 0.8017 0.5000 0.3427
Sn23 Sn 0.6983 0.8427 0.0000
Sn24 Sn 0.1573 0.0000 0.3017
Sn25 Sn 0.5000 0.3427 0.8017
Sn26 Sn 0.8427 0.0000 0.6983
Co1 Co 0.7500 0.2500 0.2500
Co2 Co 0.2500 0.2500 0.7500
Co3 Co 0.2500 0.2500 0.2500
Co4 Co 0.2500 0.7500 0.7500
Co5 Co 0.7500 0.7500 0.7500
Co6 Co 0.7500 0.2500 0.7500
Co7 Co 0.7500 0.7500 0.2500
Co8 Co 0.2500 0.7500 0.2500
La1 La 0.0000 0.7500 0.5000
La2 La 0.5000 0.0000 0.7500
La3 La 0.2500 0.5000 0.0000
La4 La 0.5000 0.0000 0.2500
La5 La 0.7500 0.5000 0.0000
La6 La 0.0000 0.2500 0.5000
```

---

Record 5
A relaxed La4TaCo33 crystal. Source: Materials Project, functional PBE.

Summary:
Space-group type = Cm (8)

```
data_La4TaCo33
_chemical_formula_sum 'La4 Ta1 Co33'
_space_group_name_H-M_alt 'P 1'
_space_group_IT_number 1
_cell_length_a 6.3539
_cell_length_b 6.3539
_cell_length_c 12.7625
_cell_angle_alpha 83.09
_cell_angle_beta 83.09
_cell_angle_gamma 82.94
loop_
_space_group_symop_operation_xyz
'x,y,z'
loop_
_atom_site_label
_atom_site_type_symbol
_atom_site_fract_x
_atom_site_fract_y
_atom_site_fract_z
La1 La 0.3538 0.3538 0.6777
La2 La 0.6558 0.6558 0.3271
La3 La 0.3437 0.3437 0.1720
La4 La 0.6566 0.6566 0.8278
Ta1 Ta 0.0938 0.0938 0.5469
Co1 Co 0.2834 0.7171 0.0002
Co2 Co 0.6579 0.1481 0.3288
Co3 Co 0.9995 0.9995 0.2492
Co4 Co 0.7101 0.9975 0.6438
Co5 Co 0.9999 0.7160 0.1414
Co6 Co 0.9967 0.2870 0.3549
Co7 Co 0.8505 0.3405 0.1700
Co8 Co 0.3401 0.3401 0.9266
Co9 Co 0.9046 0.9046 0.9532
Co10 Co 0.3445 0.3445 0.4249
Co11 Co 0.9991 0.2838 0.8589
Co12 Co 0.6593 0.6593 0.0747
Co13 Co 0.7087 0.2891 0.4989
Co14 Co 0.3405 0.8505 0.1700
Co15 Co 0.5057 0.9984 0.4988
Co16 Co 0.3443 0.8517 0.6724
Co17 Co 0.9984 0.9984 0.7533
Co18 Co 0.9975 0.7101 0.6438
Co19 Co 0.9984 0.5057 0.4988
Co20 Co 0.2891 0.7087 0.4989
Co21 Co 0.0939 0.0939 0.0482
Co22 Co 0.6606 0.1491 0.8308
Co23 Co 0.5000 0.0000 0.0002
Co24 Co 0.7171 0.2834 0.0002
Co25 Co 0.2838 0.9991 0.8589
Co26 Co 0.1481 0.6579 0.3288
Co27 Co 0.1491 0.6606 0.8308
Co28 Co 0.0000 0.5000 0.0002
Co29 Co 0.9019 0.9019 0.4471
Co30 Co 0.7160 0.9999 0.1414
Co31 Co 0.2870 0.9967 0.3549
Co32 Co 0.8517 0.3443 0.6724
Co33 Co 0.6590 0.6590 0.5734
```

---

Record 6
A relaxed La2TiCo16 crystal. Source: Materials Project, functional PBE.

Summary:
Space-group type = R3m (160)

```
data_La2TiCo16
_chemical_formula_sum 'La2 Ti1 Co16'
_space_group_name_H-M_alt 'P 1'
_space_group_IT_number 1
_cell_length_a 6.3876
_cell_length_b 6.3876
_cell_length_c 6.3876
_cell_angle_alpha 83.15
_cell_angle_beta 83.15
_cell_angle_gamma 83.15
loop_
_space_group_symop_operation_xyz
'x,y,z'
loop_
_atom_site_label
_atom_site_type_symbol
_atom_site_fract_x
_atom_site_fract_y
_atom_site_fract_z
Co1 Co 0.5052 0.9982 0.9982
Co2 Co 0.9982 0.2874 0.7118
Co3 Co 0.8524 0.3433 0.3433
Co4 Co 0.9982 0.9982 0.5052
Co5 Co 0.9021 0.9021 0.9021
Co6 Co 0.2874 0.7118 0.9982
Co7 Co 0.3433 0.8524 0.3433
Co8 Co 0.6589 0.6589 0.1459
Co9 Co 0.2874 0.9982 0.7118
Co10 Co 0.7118 0.2874 0.9982
Co11 Co 0.1459 0.6589 0.6589
Co12 Co 0.6589 0.1459 0.6589
Co13 Co 0.3433 0.3433 0.8524
Co14 Co 0.9982 0.5052 0.9982
Co15 Co 0.7118 0.9982 0.2874
Co16 Co 0.9982 0.7118 0.2874
La1 La 0.6546 0.6546 0.6546
La2 La 0.3513 0.3513 0.3513
Ti1 Ti 0.0930 0.0930 0.0930
```

---

| no. | calculated total energy (eV/f.u.) | energy relative to the elements (eV/atom) |
| --- | --- | --- |
| 1 | -96.11 | -0.488 |
| 2 | -37.01 | -0.590 |
| 3 | -37.21 | -0.598 |
| 4 | -103.37 | -0.400 |
| 5 | -267.94 | -0.046 |
| 6 | -133.18 | -0.089 |